1.
CuP6Pd11O34: optimized geometry, PBE.

## Properties
* space group: P-1
* crystal system: triclinic
* energy of formation: -67.9 eV/f.u.
* ρ: 1.6 Mg/m³

Cell: 14.7158 15.6331 20.2633 Å, 102.19 111.20 96.81°
Closest atoms and distances in Å follow each position.
Fractional positions:
O  0.2028  0.4685  0.0825  1 P 1.58
O  0.4840  0.2983  0.3244  3 Pd 2.04-2.06, 1 Cu 2.06
O  0.6334  0.6790  0.4602  2 Pd 1.91
O  0.7236  0.1349  0.3404  1 P 1.50
O  0.7654  0.5842  0.2577  1 P 1.50
O  0.6248  0.5401  0.9185  1 P 1.58
O  0.6577  0.9238  0.8459  1 P 1.58
O  0.6723  0.5941  0.3416  1 P 1.57
O  0.4230  0.4619  0.7970  1 P 1.58
O  0.8131  0.7452  0.5806  1 P 1.57
O  0.0313  0.6154  0.2576  1 P 1.50
O  0.4542  0.3736  0.4467  2 Pd 1.93-1.94
O  0.2346  0.4158  0.7423  1 P 1.50
O  0.5358  0.4582  0.5852  2 Pd 1.93
O  0.0711  0.3047  0.3143  1 P 1.58
O  0.3423  0.0762  0.1541  1 P 1.58
O  0.2883  0.4681  0.2956  3 Pd 2.04-2.06, 1 Cu 2.06
O  0.1184  0.1531  0.2887  1 P 1.58
O  0.7634  0.6816  0.9705  1 P 1.58
O  0.7906  0.3826  0.6596  1 P 1.57
O  0.7237  0.6903  0.6717  3 Pd 2.04-2.05, 1 Cu 2.07
O  0.9180  0.5300  0.7229  1 P 1.58
O  0.8253  0.9203  0.8357  1 P 1.58
O  0.3184  0.5582  0.7273  1 P 1.58
O  0.2260  0.4383  0.9622  1 P 1.50
O  0.3602  0.7730  0.5893  1 P 1.57
O  0.4608  0.8715  0.7192  1 P 1.58
O  0.9687  0.3846  0.7424  1 P 1.50
O  0.5770  0.5381  0.2030  1 P 1.58
O  0.0040  0.1774  0.3555  1 P 1.50
O  0.2763  0.3097  0.3283  3 Pd 2.04-2.05, 1 Cu 2.07
O  0.7884  0.8608  0.9337  1 P 1.58
O  0.3357  0.7294  0.6968  1 P 1.58
O  0.3277  0.4059  0.6584  1 P 1.57
O  0.6643  0.2706  0.3032  1 P 1.58
O  0.2094  0.6174  0.3404  1 P 1.57
O  0.5013  0.5413  0.7051  3 Pd 2.04-2.06, 1 Cu 2.07
O  0.3105  0.2434  0.2120  3 Pd 1.97-1.98
O  0.4642  0.5418  0.4148  2 Pd 1.93
O  0.9960  0.8226  0.6445  1 P 1.50
O  0.1467  0.5538  0.2022  1 P 1.58
O  0.3264  0.3904  0.1828  3 Pd 1.97-1.98
O  0.2116  0.1392  0.0663  1 P 1.58
O  0.3752  0.4599  0.0815  1 P 1.58
O  0.8816  0.8469  0.7113  1 P 1.58
O  0.1834  0.9734  0.0543  1 P 1.50
O  0.0820  0.4700  0.2771  1 P 1.58
O  0.6816  0.4418  0.2727  1 P 1.58
O  0.2764  0.8651  0.6596  1 P 1.50
O  0.5458  0.6264  0.5533  2 Pd 1.93-1.94
O  0.8533  0.4462  0.7978  1 P 1.58
O  0.6736  0.6096  0.8172  3 Pd 1.97-1.98
O  0.5392  0.1285  0.2808  1 P 1.58
O  0.2366  0.3184  0.0295  1 P 1.58
O  0.6895  0.7566  0.7880  3 Pd 1.97-1.98
O  0.3845  0.6877  0.4634  2 Pd 1.91
O  0.8166  0.0266  0.9457  1 P 1.50
O  0.7740  0.5617  0.0378  1 P 1.50
O  0.6155  0.3123  0.5366  2 Pd 1.91
O  0.5160  0.7017  0.6756  3 Pd 2.04-2.06, 1 Cu 2.06
O  0.4987  0.4587  0.2949  3 Pd 2.04-2.06, 1 Cu 2.07
O  0.7117  0.5319  0.7044  3 Pd 2.04-2.06, 1 Cu 2.06
O  0.7972  0.5315  0.9175  1 P 1.58
O  0.6398  0.2270  0.4107  1 P 1.57
O  0.1747  0.0797  0.1643  1 P 1.58
O  0.1869  0.2548  0.4194  1 P 1.57
O  0.3666  0.3210  0.5398  2 Pd 1.91
O  0.9289  0.6953  0.6857  1 P 1.58
Pd  0.4207  0.1802  0.2421  4 O 1.97-2.06
Pd  0.3250  0.3159  0.4381  4 O 1.91-2.05
Pd  0.7622  0.5254  0.8116  4 O 1.97-2.06
Pd  0.4472  0.4660  0.1878  4 O 1.97-2.06
Pd  0.6750  0.6841  0.5619  4 O 1.91-2.05
Pd  0.5504  0.3047  0.4345  4 O 1.91-2.06
Pd  0.2667  0.2684  0.1149  4 O 1.97-1.98
Pd  0.3405  0.5821  0.3828  4 O 1.91-2.06
Pd  0.2158  0.1901  0.2481  4 O 1.97-2.05
Pd  0.5869  0.3669  0.2983  4 O 1.99-2.04
Pd  0.7333  0.7316  0.8851  4 O 1.97-1.98
Pd  0.8255  0.6117  0.6964  4 O 1.99-2.04
Pd  0.4131  0.6331  0.7017  4 O 1.99-2.04
Pd  0.1745  0.3883  0.3036  4 O 1.99-2.04
Pd  0.5528  0.5340  0.8122  4 O 1.97-2.06
Pd  0.5793  0.8198  0.7579  4 O 1.97-2.06
Pd  0.5683  0.5720  0.3817  4 O 1.91-2.06
Pd  0.6595  0.4179  0.6172  4 O 1.91-2.06
Pd  0.4317  0.4280  0.6183  4 O 1.91-2.06
Pd  0.2378  0.4746  0.1884  4 O 1.97-2.06
Pd  0.7842  0.8099  0.7519  4 O 1.97-2.05
Pd  0.4496  0.6953  0.5655  4 O 1.91-2.06
P  0.8854  0.4341  0.7307  4 O 1.50-1.58
P  0.6450  0.1891  0.3343  4 O 1.50-1.58
P  0.2270  0.0642  0.1085  4 O 1.50-1.58
P  0.2596  0.4223  0.0369  4 O 1.50-1.58
P  0.3227  0.4591  0.7313  4 O 1.50-1.58
P  0.3550  0.8109  0.6657  4 O 1.50-1.58
P  0.7404  0.5777  0.9631  4 O 1.50-1.58
P  0.7730  0.9358  0.8915  4 O 1.50-1.58
P  0.1146  0.5659  0.2693  4 O 1.50-1.58
P  0.9076  0.7786  0.6548  4 O 1.50-1.58
P  0.0924  0.2214  0.3452  4 O 1.50-1.58
P  0.6773  0.5409  0.2687  4 O 1.50-1.58
Cu  0.3843  0.3813  0.3065  4 O 2.06-2.07
Cu  0.6157  0.6187  0.6935  4 O 2.06-2.07

=====

2.
CuP4Ru2O14: optimized geometry, PBE.

## Properties
* space group: P-1
* crystal system: triclinic
* energy of formation: -44.1 eV/f.u.
* ρ: 3.8 Mg/m³

Cell: 4.8839 6.8152 8.3257 Å, 92.74 92.04 106.52°
Closest atoms and distances in Å follow each position.
Fractional positions:
O  0.1351  0.2866  0.5860  1 P 1.58
O  0.4865  0.7603  0.6292  1 P 1.55
O  0.8664  0.1779  0.8423  1 P 1.51
O  0.6235  0.7970  0.9365  1 P 1.53
O  0.2668  0.5633  0.3202  1 P 1.52
O  0.1862  0.8986  0.8126  1 P 1.54
O  0.2060  0.5289  0.8372  2 P 1.59-1.62
O  0.8138  0.1014  0.1874  1 P 1.54
O  0.3765  0.2030  0.0635  1 P 1.53
O  0.7940  0.4711  0.1628  2 P 1.59-1.62
O  0.8649  0.7134  0.4140  1 P 1.58
O  0.5135  0.2397  0.3708  1 P 1.55
O  0.7332  0.4367  0.6798  1 P 1.52
O  0.1336  0.8221  0.1577  1 P 1.51
Ru  0.5000  0.5000  0.5000  6 O 1.99-2.13
Ru  0.0000  0.0000  0.0000  6 O 2.00-2.04
P  0.9754  0.3514  0.7328  4 O 1.51-1.59
P  0.0246  0.6486  0.2672  4 O 1.51-1.59
P  0.6118  0.2388  0.1963  4 O 1.53-1.62
P  0.3882  0.7612  0.8037  4 O 1.53-1.62
Cu  0.0000  0.0000  0.5000  2 O 1.97

=====

3.
Cu3SbP4O16: optimized geometry, PBE.

## Properties
* space group: Pm
* crystal system: monoclinic
* energy of formation: -47.8 eV/f.u.
* ρ: 4.0 Mg/m³

Cell: 4.8893 9.8594 5.9783 Å, 90.00 90.00 88.79°
Closest atoms and distances in Å follow each position.
Fractional positions:
O  0.1844  0.4457  0.2500  1 P 1.62
O  0.2519  0.1715  0.4449  1 P 1.60
O  0.2707  0.8888  0.7500  1 P 1.53
O  0.2288  0.6688  0.0452  1 P 1.54
O  0.2295  0.3845  0.7500  1 P 1.52
O  0.7204  0.1193  0.2500  1 P 1.55
O  0.8303  0.5558  0.7500  1 P 1.50
O  0.7762  0.6045  0.2500  1 P 1.53
O  0.7356  0.8286  0.9498  1 P 1.58
O  0.3532  0.9418  0.2500  1 P 1.50
O  0.2288  0.6688  0.4548  1 P 1.54
O  0.7802  0.3312  0.5427  1 P 1.62
O  0.7802  0.3312  0.9573  1 P 1.62
O  0.7356  0.8286  0.5502  1 P 1.58
O  0.2519  0.1715  0.0551  1 P 1.60
O  0.6480  0.0555  0.7500  1 P 1.55
P  0.0896  0.6044  0.2500  4 O 1.53-1.62
P  0.5817  0.9023  0.7500  4 O 1.53-1.58
P  0.9226  0.4095  0.7500  4 O 1.50-1.62
P  0.4090  0.0906  0.2500  4 O 1.50-1.60
Cu  0.5662  0.7744  0.2500  4 O 1.93-2.05
Cu  0.4196  0.2128  0.7500  4 O 1.89-2.04
Cu  0.0415  0.7273  0.7500  6 O 1.97-2.14
Sb  0.9642  0.2823  0.2500  6 O 1.96-2.11

=====

4.
Ti3Cu2SbP6O24: optimized geometry, PBE.

## Properties
* space group: R3
* crystal system: trigonal
* energy of formation: -94.5 eV/f.u.
* ρ: 3.4 Mg/m³

Cell: 8.7278 8.7278 8.7278 Å, 59.95 59.95 59.95°
Closest atoms and distances in Å follow each position.
Fractional positions:
O  0.0925  0.9504  0.7280  1 P 1.56
O  0.9504  0.7280  0.0925  1 P 1.56
O  0.0242  0.6063  0.8005  1 P 1.53
O  0.9150  0.0601  0.2651  1 P 1.55
O  0.5019  0.6976  0.8744  1 P 1.54
O  0.6976  0.8744  0.5019  1 P 1.54
O  0.3119  0.1225  0.4902  1 P 1.53
O  0.7718  0.5548  0.4192  1 P 1.55
O  0.1956  0.0004  0.3759  1 P 1.55
O  0.4309  0.5817  0.2299  1 P 1.55
O  0.8005  0.0242  0.6063  1 P 1.53
O  0.4192  0.7718  0.5548  1 P 1.55
O  0.0004  0.3759  0.1956  1 P 1.55
O  0.6063  0.8005  0.0242  1 P 1.53
O  0.7280  0.0925  0.9504  1 P 1.56
O  0.1225  0.4902  0.3119  1 P 1.53
O  0.4902  0.3119  0.1225  1 P 1.53
O  0.0601  0.2651  0.9150  1 P 1.55
O  0.5817  0.2299  0.4309  1 P 1.55
O  0.5548  0.4192  0.7718  1 P 1.55
O  0.3759  0.1956  0.0004  1 P 1.55
O  0.2651  0.9150  0.0601  1 P 1.55
O  0.2299  0.4309  0.5817  1 P 1.55
O  0.8744  0.5019  0.6976  1 P 1.54
P  0.7479  0.0434  0.4532  4 O 1.53-1.55
P  0.4532  0.7479  0.0434  4 O 1.53-1.55
P  0.2544  0.9613  0.5356  4 O 1.53-1.56
P  0.0434  0.4532  0.7479  4 O 1.53-1.55
P  0.5356  0.2544  0.9613  4 O 1.53-1.56
P  0.9613  0.5356  0.2544  4 O 1.53-1.56
Cu  0.4999  0.4999  0.4999  6 O 2.34-2.39
Cu  0.0059  0.0059  0.0059  6 O 2.21-2.38
Ti  0.6417  0.6417  0.6417  6 O 1.94-2.01
Ti  0.3568  0.3568  0.3568  6 O 1.91-1.97
Ti  0.1420  0.1420  0.1420  6 O 1.94-2.03
Sb  0.8572  0.8572  0.8572  6 O 2.08-2.14

=====

Q: The highest energy of formation belongs to which entry?
A: CuP4Ru2O14